Record 1
A plane-wave DFT calculation with GGA-PBE was carried out for a geometry-optimized PmZn2Hg structure.

total magnetic moment = 0.00 μB per cell
E_form = -0.304 eV/atom

a = 4.899 Å, b = 4.899 Å, c = 4.899 Å
α = 60.00°, β = 60.00°, γ = 60.00°
Element x y z (fractional)
Zn 0.750 0.750 0.750
Zn 0.250 0.250 0.250
Pm 0.000 0.000 0.000
Hg 0.500 0.500 0.500



Record 2
A plane-wave DFT calculation with GGA-PBE was carried out for a geometry-optimized ScNiGe structure.

E_form = -0.818 eV/atom

a = 4.090 Å, b = 6.477 Å, c = 7.087 Å
α = 90.00°, β = 90.00°, γ = 90.00°
Element x y z (fractional)
Sc 0.750 0.005 0.707
Sc 0.250 0.995 0.293
Ni 0.750 0.813 0.078
Ge 0.750 0.206 0.094
Ge 0.250 0.794 0.906
Ni 0.750 0.313 0.422
Ge 0.750 0.706 0.406
Sc 0.250 0.495 0.207
Ni 0.250 0.687 0.578
Ni 0.250 0.187 0.922
Ge 0.250 0.294 0.594
Sc 0.750 0.505 0.793



Record 3
A plane-wave DFT calculation with GGA-PBE was carried out for a geometry-optimized Y2Fe14C structure.

total magnetic moment = 120.02 μB per cell
E_form = -0.068 eV/atom

a = 8.700 Å, b = 8.700 Å, c = 11.724 Å
α = 90.00°, β = 90.00°, γ = 90.00°
Element x y z (fractional)
Fe 0.963 0.642 0.325
Fe 0.037 0.358 0.675
Fe 0.598 0.402 0.796
Fe 0.225 0.566 0.621
C 0.626 0.374 0.500
Fe 0.934 0.725 0.121
Fe 0.000 0.000 0.108
Y 0.858 0.142 0.500
Fe 0.934 0.725 0.879
Fe 0.818 0.182 0.754
Fe 0.318 0.318 0.746
Fe 0.463 0.858 0.825
Fe 0.858 0.463 0.175
Fe 0.682 0.682 0.254
Fe 0.725 0.934 0.121
Fe 0.537 0.142 0.175
Fe 0.000 0.500 0.000
Fe 0.963 0.642 0.675
Fe 0.537 0.142 0.825
Fe 0.142 0.537 0.175
Fe 0.725 0.934 0.879
Fe 0.682 0.682 0.746
Fe 0.434 0.775 0.379
Y 0.142 0.858 0.500
Fe 0.642 0.963 0.675
C 0.126 0.126 0.000
Fe 0.098 0.098 0.704
Fe 0.500 0.000 0.500
C 0.874 0.874 0.000
Fe 0.275 0.066 0.879
Fe 0.463 0.858 0.175
Fe 0.500 0.000 0.000
Fe 0.098 0.098 0.296
Fe 0.598 0.402 0.204
Fe 0.566 0.225 0.379
Fe 0.000 0.000 0.892
Y 0.762 0.238 0.000
Fe 0.858 0.463 0.825
Y 0.358 0.358 0.000
Fe 0.182 0.818 0.246
Fe 0.434 0.775 0.621
Fe 0.318 0.318 0.254
Fe 0.037 0.358 0.325
Fe 0.358 0.037 0.325
Fe 0.225 0.566 0.379
Fe 0.566 0.225 0.621
Fe 0.775 0.434 0.379
Fe 0.066 0.275 0.121
Fe 0.182 0.818 0.754
Fe 0.902 0.902 0.704
Fe 0.818 0.182 0.246
Y 0.262 0.262 0.500
Fe 0.402 0.598 0.796
Y 0.238 0.762 0.000
Fe 0.142 0.537 0.825
Fe 0.066 0.275 0.879
Y 0.738 0.738 0.500
Fe 0.775 0.434 0.621
Fe 0.642 0.963 0.325
Fe 0.000 0.500 0.500
Fe 0.500 0.500 0.392
Fe 0.500 0.500 0.608
Fe 0.358 0.037 0.675
C 0.374 0.626 0.500
Fe 0.402 0.598 0.204
Fe 0.275 0.066 0.121
Fe 0.902 0.902 0.296
Y 0.642 0.642 0.000



Record 4
A plane-wave DFT calculation with GGA-PBE was carried out for a geometry-optimized Tm2C3 structure.

total magnetic moment = 0.02 μB per cell
E_form = -0.274 eV/atom

a = 7.006 Å, b = 7.006 Å, c = 7.006 Å
α = 109.47°, β = 109.47°, γ = 109.47°
Element x y z (fractional)
C 0.958 0.208 0.750
Tm 0.000 0.399 0.500
Tm 0.399 0.500 0.000
Tm 0.500 0.000 0.899
C 0.750 0.792 0.042
C 0.750 0.958 0.208
C 0.208 0.750 0.958
C 0.542 0.292 0.250
Tm 0.000 0.899 0.500
C 0.250 0.542 0.292
Tm 0.899 0.500 0.000
C 0.292 0.250 0.542
Tm 0.500 0.000 0.399
Tm 0.101 0.101 0.101
C 0.042 0.750 0.792
Tm 0.601 0.601 0.601
C 0.792 0.042 0.750
C 0.458 0.250 0.708
C 0.708 0.458 0.250
C 0.250 0.708 0.458



Record 5
A plane-wave DFT calculation with GGA-PBE was carried out for a geometry-optimized KBiF6 structure.

E_form = -2.525 eV/atom

a = 5.482 Å, b = 5.482 Å, c = 10.127 Å
α = 90.00°, β = 90.00°, γ = 90.00°
Element x y z (fractional)
F 0.735 0.265 0.000
K 0.500 0.500 0.750
F 0.265 0.265 0.500
K 0.500 0.500 0.250
F 0.189 0.189 0.141
F 0.811 0.189 0.641
F 0.265 0.735 0.000
F 0.735 0.735 0.500
F 0.811 0.189 0.359
Bi 0.000 0.000 0.000
F 0.189 0.811 0.641
Bi 0.000 0.000 0.500
F 0.189 0.811 0.359
F 0.811 0.811 0.859
F 0.811 0.811 0.141
F 0.189 0.189 0.859



Record 6
A plane-wave DFT calculation with GGA-PBE was carried out for a geometry-optimized NdAl2Ni structure.

E_form = -0.586 eV/atom

a = 5.825 Å, b = 5.825 Å, c = 6.904 Å
α = 90.00°, β = 90.00°, γ = 139.03°
Element x y z (fractional)
Al 0.831 0.169 0.057
Ni 0.719 0.281 0.750
Al 0.169 0.831 0.557
Nd 0.554 0.446 0.250
Nd 0.446 0.554 0.750
Al 0.169 0.831 0.943
Ni 0.281 0.719 0.250
Al 0.831 0.169 0.443